[1]
DFT (GGA+U) results for Pr3MoO7 after structural relaxation.

Unit cell a=7.694 b=7.781 c=11.057 alpha=90.00 beta=90.00 gamma=90.00
Fractional coordinates of all 44 atoms:
Pr 0.001 0.042 0.276
Pr 0.001 0.550 0.771
Pr 0.238 0.207 0.004
Pr 0.262 0.793 0.504
Pr 0.499 0.450 0.271
Pr 0.499 0.958 0.776
Pr 0.501 0.458 0.724
Pr 0.501 0.950 0.229
Pr 0.738 0.293 0.996
Pr 0.762 0.707 0.496
Pr 0.999 0.050 0.729
Pr 0.999 0.542 0.224
Mo 0.246 0.252 0.499
Mo 0.254 0.748 0.999
Mo 0.746 0.248 0.501
Mo 0.754 0.752 0.001
O 0.000 0.280 0.867
O 0.000 0.780 0.633
O 0.004 0.686 0.995
O 0.011 0.764 0.368
O 0.208 0.395 0.358
O 0.214 0.425 0.625
O 0.217 0.941 0.125
O 0.217 0.954 0.880
O 0.283 0.046 0.380
O 0.283 0.059 0.625
O 0.286 0.575 0.125
O 0.292 0.605 0.858
O 0.489 0.236 0.868
O 0.496 0.314 0.495
O 0.500 0.220 0.133
O 0.500 0.720 0.367
O 0.504 0.814 0.005
O 0.511 0.736 0.632
O 0.708 0.105 0.642
O 0.714 0.075 0.375
O 0.717 0.546 0.120
O 0.717 0.559 0.875
O 0.783 0.441 0.375
O 0.783 0.454 0.620
O 0.786 0.925 0.875
O 0.792 0.895 0.142
O 0.989 0.264 0.132
O 0.996 0.186 0.505

Output
symmetry = P2_12_12_1
calculated density = 6.33 Mg/m³
total energy = -7.957 eV per atom
energy relative to the elements = -313.3 kJ/mol of atoms
calculated volume = 15.04 Å³ per atom

---

[2]
DFT (GGA+U) results for Pr5Mo32O54 after structural relaxation.

Unit cell a=11.172 b=9.425 c=25.245 alpha=90.00 beta=105.19 gamma=90.00
Fractional coordinates of all 182 atoms:
Pr 0.000 0.000 0.000
Pr 0.000 0.500 0.500
Pr 0.209 0.043 0.686
Pr 0.209 0.457 0.186
Pr 0.462 0.512 0.095
Pr 0.462 0.988 0.595
Pr 0.538 0.012 0.405
Pr 0.538 0.488 0.905
Pr 0.791 0.543 0.814
Pr 0.791 0.957 0.314
Mo 0.070 0.649 0.700
Mo 0.070 0.851 0.200
Mo 0.082 0.653 0.947
Mo 0.082 0.847 0.447
Mo 0.088 0.641 0.075
Mo 0.088 0.859 0.575
Mo 0.092 0.634 0.324
Mo 0.092 0.866 0.824
Mo 0.159 0.123 0.141
Mo 0.159 0.377 0.641
Mo 0.165 0.136 0.269
Mo 0.165 0.364 0.769
Mo 0.173 0.121 0.393
Mo 0.173 0.379 0.893
Mo 0.174 0.138 0.521
Mo 0.174 0.362 0.021
Mo 0.330 0.637 0.545
Mo 0.330 0.863 0.045
Mo 0.333 0.641 0.798
Mo 0.333 0.653 0.672
Mo 0.333 0.847 0.172
Mo 0.333 0.859 0.298
Mo 0.336 0.648 0.423
Mo 0.336 0.852 0.923
Mo 0.395 0.124 0.855
Mo 0.395 0.376 0.355
Mo 0.407 0.147 0.985
Mo 0.407 0.353 0.485
Mo 0.418 0.146 0.114
Mo 0.418 0.354 0.614
Mo 0.429 0.135 0.243
Mo 0.429 0.365 0.743
Mo 0.571 0.635 0.257
Mo 0.571 0.865 0.757
Mo 0.582 0.646 0.386
Mo 0.582 0.854 0.886
Mo 0.593 0.647 0.515
Mo 0.593 0.853 0.015
Mo 0.605 0.624 0.645
Mo 0.605 0.876 0.145
Mo 0.664 0.148 0.077
Mo 0.664 0.352 0.577
Mo 0.667 0.141 0.702
Mo 0.667 0.153 0.828
Mo 0.667 0.347 0.328
Mo 0.667 0.359 0.202
Mo 0.670 0.137 0.955
Mo 0.670 0.363 0.455
Mo 0.826 0.638 0.979
Mo 0.826 0.862 0.479
Mo 0.827 0.621 0.107
Mo 0.827 0.879 0.607
Mo 0.835 0.636 0.231
Mo 0.835 0.864 0.731
Mo 0.841 0.623 0.359
Mo 0.841 0.877 0.859
Mo 0.908 0.134 0.176
Mo 0.908 0.366 0.676
Mo 0.912 0.141 0.425
Mo 0.912 0.359 0.925
Mo 0.918 0.153 0.553
Mo 0.918 0.347 0.053
Mo 0.930 0.149 0.800
Mo 0.930 0.351 0.300
O 0.000 0.006 0.618
O 0.000 0.494 0.118
O 0.000 0.506 0.882
O 0.000 0.994 0.382
O 0.002 0.502 0.634
O 0.002 0.512 0.258
O 0.002 0.988 0.758
O 0.002 0.998 0.134
O 0.080 0.209 0.061
O 0.080 0.291 0.561
O 0.083 0.249 0.694
O 0.083 0.251 0.194
O 0.089 0.242 0.445
O 0.089 0.258 0.945
O 0.096 0.245 0.326
O 0.096 0.255 0.826
O 0.145 0.714 0.521
O 0.145 0.786 0.021
O 0.163 0.739 0.394
O 0.163 0.761 0.894
O 0.165 0.747 0.273
O 0.165 0.753 0.773
O 0.172 0.715 0.156
O 0.172 0.785 0.656
O 0.227 0.002 0.462
O 0.227 0.498 0.962
O 0.246 0.005 0.594
O 0.246 0.495 0.094
O 0.253 0.014 0.341
O 0.253 0.486 0.841
O 0.266 0.509 0.475
O 0.266 0.991 0.975
O 0.267 0.508 0.603
O 0.267 0.523 0.350
O 0.267 0.977 0.850
O 0.267 0.992 0.103
O 0.323 0.225 0.780
O 0.323 0.275 0.280
O 0.328 0.248 0.167
O 0.328 0.252 0.667
O 0.343 0.244 0.410
O 0.343 0.256 0.910
O 0.354 0.221 0.543
O 0.354 0.279 0.043
O 0.399 0.730 0.244
O 0.399 0.770 0.744
O 0.420 0.739 0.998
O 0.420 0.761 0.498
O 0.427 0.718 0.876
O 0.427 0.782 0.376
O 0.434 0.746 0.621
O 0.434 0.754 0.121
O 0.489 0.502 0.682
O 0.489 0.998 0.182
O 0.491 0.504 0.811
O 0.491 0.996 0.311
O 0.509 0.004 0.689
O 0.509 0.496 0.189
O 0.511 0.002 0.818
O 0.511 0.498 0.318
O 0.566 0.246 0.879
O 0.566 0.254 0.379
O 0.573 0.218 0.624
O 0.573 0.282 0.124
O 0.580 0.239 0.502
O 0.580 0.261 0.002
O 0.601 0.230 0.256
O 0.601 0.270 0.756
O 0.646 0.721 0.957
O 0.646 0.779 0.457
O 0.657 0.744 0.090
O 0.657 0.756 0.590
O 0.672 0.748 0.333
O 0.672 0.752 0.833
O 0.677 0.725 0.720
O 0.677 0.775 0.220
O 0.733 0.008 0.897
O 0.733 0.023 0.150
O 0.733 0.477 0.650
O 0.733 0.492 0.397
O 0.734 0.009 0.025
O 0.734 0.491 0.525
O 0.747 0.514 0.159
O 0.747 0.986 0.659
O 0.754 0.505 0.906
O 0.754 0.995 0.406
O 0.773 0.502 0.038
O 0.773 0.998 0.538
O 0.828 0.215 0.344
O 0.828 0.285 0.844
O 0.835 0.247 0.227
O 0.835 0.253 0.727
O 0.837 0.239 0.106
O 0.837 0.261 0.606
O 0.855 0.214 0.979
O 0.855 0.286 0.479
O 0.904 0.745 0.174
O 0.904 0.755 0.674
O 0.911 0.742 0.055
O 0.911 0.758 0.555
O 0.917 0.749 0.806
O 0.917 0.751 0.306
O 0.920 0.709 0.439
O 0.920 0.791 0.939
O 0.998 0.002 0.866
O 0.998 0.012 0.242
O 0.998 0.488 0.742
O 0.998 0.498 0.366

Output
symmetry = P2_1/c
magnetic moment = 0.9780 μB/atom
calculated density = 6.01 Mg/m³
total energy = -7.296 eV per atom
energy relative to the elements = -175.3 kJ/mol of atoms
calculated volume = 14.09 Å³ per atom

---

[3]
DFT (GGA+U) results for PrMoO5 after structural relaxation.

Unit cell a=5.535 b=12.942 c=7.235 alpha=90.00 beta=115.87 gamma=90.00
Fractional coordinates of all 28 atoms:
Pr 0.147 0.058 0.286
Pr 0.147 0.442 0.786
Pr 0.853 0.558 0.214
Pr 0.853 0.942 0.714
Mo 0.407 0.136 0.852
Mo 0.407 0.364 0.352
Mo 0.593 0.636 0.648
Mo 0.593 0.864 0.148
O 0.006 0.077 0.554
O 0.006 0.423 0.054
O 0.208 0.066 0.961
O 0.208 0.434 0.461
O 0.277 0.649 0.433
O 0.277 0.851 0.933
O 0.292 0.235 0.285
O 0.292 0.265 0.785
O 0.494 0.571 0.836
O 0.494 0.929 0.336
O 0.506 0.071 0.664
O 0.506 0.429 0.164
O 0.708 0.735 0.215
O 0.708 0.765 0.715
O 0.723 0.149 0.067
O 0.723 0.351 0.567
O 0.792 0.566 0.539
O 0.792 0.934 0.039
O 0.994 0.577 0.946
O 0.994 0.923 0.446

Output
symmetry = P2_1/c
magnetic moment = 0.1428 μB/atom
calculated density = 4.51 Mg/m³
total energy = -7.297 eV per atom
energy relative to the elements = -239.2 kJ/mol of atoms
calculated volume = 16.65 Å³ per atom

---

[4]
DFT (GGA+U) results for Pr2Mo4O15 after structural relaxation.

Unit cell a=7.525 b=7.674 c=12.007 alpha=88.70 beta=83.90 gamma=84.43
Fractional coordinates of all 42 atoms:
Pr 0.180 0.090 0.223
Pr 0.257 0.590 0.778
Pr 0.743 0.410 0.222
Pr 0.820 0.910 0.777
Mo 0.063 0.750 0.474
Mo 0.226 0.572 0.128
Mo 0.272 0.075 0.871
Mo 0.404 0.332 0.468
Mo 0.596 0.668 0.532
Mo 0.728 0.925 0.129
Mo 0.774 0.428 0.872
Mo 0.937 0.250 0.526
O 0.073 0.407 0.180
O 0.084 0.739 0.622
O 0.122 0.948 0.405
O 0.147 0.908 0.815
O 0.163 0.783 0.187
O 0.168 0.287 0.553
O 0.203 0.572 0.413
O 0.208 0.100 0.017
O 0.223 0.597 0.980
O 0.235 0.285 0.805
O 0.367 0.235 0.339
O 0.417 0.521 0.597
O 0.447 0.492 0.157
O 0.466 0.829 0.469
O 0.496 0.002 0.153
O 0.504 0.998 0.847
O 0.534 0.171 0.531
O 0.553 0.508 0.843
O 0.583 0.479 0.403
O 0.633 0.765 0.661
O 0.765 0.715 0.195
O 0.777 0.403 0.020
O 0.792 0.900 0.983
O 0.797 0.428 0.587
O 0.832 0.713 0.447
O 0.837 0.217 0.813
O 0.853 0.092 0.185
O 0.878 0.052 0.595
O 0.916 0.261 0.378
O 0.927 0.593 0.820

Output
symmetry = P-1
magnetic moment = 0.0000 μB/atom
calculated density = 4.38 Mg/m³
total energy = -7.439 eV per atom
energy relative to the elements = -239.7 kJ/mol of atoms
calculated volume = 16.34 Å³ per atom

---

[5]
DFT (GGA+U) results for RbPrMo2O8 after structural relaxation.

Unit cell a=6.457 b=6.457 c=9.752 alpha=90.00 beta=90.00 gamma=90.00
Fractional coordinates of all 24 atoms:
Rb 0.250 0.250 0.250
Rb 0.750 0.750 0.750
Pr 0.250 0.250 0.750
Pr 0.750 0.750 0.250
Mo 0.250 0.750 0.000
Mo 0.250 0.750 0.500
Mo 0.750 0.250 0.000
Mo 0.750 0.250 0.500
O 0.054 0.641 0.108
O 0.054 0.859 0.392
O 0.141 0.554 0.608
O 0.141 0.946 0.892
O 0.359 0.554 0.892
O 0.359 0.946 0.608
O 0.446 0.641 0.392
O 0.446 0.859 0.108
O 0.554 0.141 0.892
O 0.554 0.359 0.608
O 0.641 0.054 0.392
O 0.641 0.446 0.108
O 0.859 0.054 0.108
O 0.859 0.446 0.392
O 0.946 0.141 0.608
O 0.946 0.359 0.892

Output
symmetry = P4/nnc
magnetic moment = 0.0000 μB/atom
calculated density = 4.46 Mg/m³
total energy = -7.117 eV per atom
energy relative to the elements = -243.4 kJ/mol of atoms
calculated volume = 16.94 Å³ per atom

---

[6]
DFT (GGA+U) results for PrSbMo2O9 after structural relaxation.

Unit cell a=9.922 b=9.922 c=11.083 alpha=111.68 beta=111.68 gamma=95.76
Fractional coordinates of all 52 atoms:
Pr 0.124 0.876 0.750
Pr 0.325 0.675 0.250
Pr 0.675 0.325 0.750
Pr 0.876 0.124 0.250
Sb 0.353 0.380 0.463
Sb 0.380 0.353 0.963
Sb 0.620 0.647 0.037
Sb 0.647 0.620 0.537
Mo 0.049 0.260 0.028
Mo 0.063 0.435 0.697
Mo 0.260 0.049 0.528
Mo 0.435 0.063 0.197
Mo 0.565 0.937 0.803
Mo 0.740 0.951 0.472
Mo 0.937 0.565 0.303
Mo 0.951 0.740 0.972
O 0.014 0.694 0.488
O 0.053 0.228 0.179
O 0.061 0.096 0.901
O 0.085 0.557 0.247
O 0.096 0.061 0.401
O 0.124 0.702 0.059
O 0.143 0.617 0.723
O 0.214 0.373 0.803
O 0.219 0.403 0.075
O 0.228 0.053 0.679
O 0.298 0.876 0.441
O 0.306 0.986 0.012
O 0.373 0.214 0.303
O 0.383 0.857 0.777
O 0.403 0.219 0.575
O 0.425 0.540 0.401
O 0.443 0.915 0.253
O 0.460 0.575 0.099
O 0.540 0.425 0.901
O 0.557 0.085 0.747
O 0.575 0.460 0.599
O 0.597 0.781 0.425
O 0.617 0.143 0.223
O 0.627 0.786 0.697
O 0.694 0.014 0.988
O 0.702 0.124 0.559
O 0.772 0.947 0.321
O 0.781 0.597 0.925
O 0.786 0.627 0.197
O 0.857 0.383 0.277
O 0.876 0.298 0.941
O 0.904 0.939 0.599
O 0.915 0.443 0.753
O 0.939 0.904 0.099
O 0.947 0.772 0.821
O 0.986 0.306 0.512

Output
symmetry = C2/c
magnetic moment = 0.0000 μB/atom
calculated density = 4.39 Mg/m³
total energy = -7.180 eV per atom
energy relative to the elements = -228.6 kJ/mol of atoms
calculated volume = 17.43 Å³ per atom